! Hf2Co | the Materials Project | r²SCAN | relaxed; values from VASP
! Formation enthalpy at 0 K = -215 meV/atom
! Total energy = -34.73 eV per atom
! V = 425.51 Å³/cell
&SYSTEM
  ibrav = 0, nat = 24, ntyp = 2
/
ATOMIC_SPECIES
Hf 178.49 Hf.upf
Co 58.93 Co.upf
ATOMIC_POSITIONS crystal
Hf 0.0000 0.0000 0.5000
Hf 0.0000 0.5000 0.0000
Hf 0.5000 0.0000 0.0000
Hf 0.0000 0.0000 0.0000
Hf 0.4373 0.8127 0.8127
Hf 0.8127 0.4373 0.4373
Hf 0.8127 0.4373 0.8127
Hf 0.4373 0.8127 0.4373
Hf 0.8127 0.8127 0.4373
Hf 0.4373 0.4373 0.8127
Hf 0.5627 0.1873 0.1873
Hf 0.1873 0.5627 0.5627
Hf 0.1873 0.5627 0.1873
Hf 0.5627 0.1873 0.5627
Hf 0.1873 0.1873 0.5627
Hf 0.5627 0.5627 0.1873
Co 0.2226 0.2226 0.8322
Co 0.2226 0.8322 0.2226
Co 0.8322 0.2226 0.2226
Co 0.2226 0.2226 0.2226
Co 0.7774 0.7774 0.1678
Co 0.7774 0.1678 0.7774
Co 0.1678 0.7774 0.7774
Co 0.7774 0.7774 0.7774
CELL_PARAMETERS angstrom
-5.9698 -5.9698 0.0000
-5.9698 0.0000 -5.9698
0.0000 -5.9698 -5.9698

! Hf6Co23 | the Materials Project | r²SCAN | relaxed; values from VASP
! Formation enthalpy at 0 K = -219 meV/atom
! Total energy = -20.06 eV per atom
! V = 369.94 Å³/cell
&SYSTEM
  ibrav = 0, nat = 29, ntyp = 2
/
ATOMIC_SPECIES
Hf 178.49 Hf.upf
Co 58.93 Co.upf
ATOMIC_POSITIONS crystal
Hf 0.7103 0.7103 0.2897
Hf 0.2897 0.7103 0.2897
Hf 0.7103 0.2897 0.2897
Hf 0.2897 0.2897 0.7103
Hf 0.7103 0.2897 0.7103
Hf 0.2897 0.7103 0.7103
Co 0.0000 0.0000 0.0000
Co 0.0000 0.0000 0.5000
Co 0.5000 0.0000 0.5000
Co 0.0000 0.5000 0.5000
Co 0.5000 0.5000 0.0000
Co 0.0000 0.5000 0.0000
Co 0.5000 0.0000 0.0000
Co 0.8783 0.8783 0.3651
Co 0.8783 0.3651 0.8783
Co 0.3651 0.8783 0.8783
Co 0.8783 0.8783 0.8783
Co 0.1217 0.1217 0.6349
Co 0.1217 0.6349 0.1217
Co 0.6349 0.1217 0.1217
Co 0.1217 0.1217 0.1217
Co 0.6733 0.6733 0.9802
Co 0.6733 0.9802 0.6733
Co 0.9802 0.6733 0.6733
Co 0.6733 0.6733 0.6733
Co 0.3267 0.3267 0.0198
Co 0.3267 0.0198 0.3267
Co 0.0198 0.3267 0.3267
Co 0.3267 0.3267 0.3267
CELL_PARAMETERS angstrom
-1.7767 -7.8233 -0.7534
-7.6507 -2.4661 0.5600
-3.8725 -2.6391 -6.5550

! Hf2CoOs | the Materials Project | r²SCAN | relaxed; values from VASP
! Formation enthalpy at 0 K = -657 meV/atom
! Total energy = -39.79 eV per atom
! V = 66.34 Å³/cell
&SYSTEM
  ibrav = 0, nat = 4, ntyp = 3
/
ATOMIC_SPECIES
Hf 178.49 Hf.upf
Co 58.93 Co.upf
Os 190.23 Os.upf
ATOMIC_POSITIONS crystal
Hf 0.2500 0.2500 0.2500
Hf 0.7500 0.7500 0.7500
Co 0.5000 0.5000 0.5000
Os 0.0000 0.0000 0.0000
CELL_PARAMETERS angstrom
0.0000 3.2130 3.2130
3.2130 0.0000 3.2130
3.2130 3.2130 0.0000

! Hf2CoP | the Materials Project | r²SCAN | relaxed; values from VASP
! Formation enthalpy at 0 K = -935 meV/atom
! Total energy = -29.07 eV per atom
! V = 127.53 Å³/cell
&SYSTEM
  ibrav = 0, nat = 8, ntyp = 3
/
ATOMIC_SPECIES
Hf 178.49 Hf.upf
Co 58.93 Co.upf
P 30.97 P.upf
ATOMIC_POSITIONS crystal
Hf 0.2500 0.7911 0.5635
Hf 0.7500 0.2089 0.4365
Hf 0.2500 0.7856 0.0817
Hf 0.7500 0.2144 0.9183
Co 0.2500 0.3509 0.7107
Co 0.7500 0.6491 0.2893
P 0.2500 0.3494 0.2111
P 0.7500 0.6506 0.7889
CELL_PARAMETERS angstrom
-1.7160 3.0924 0.4457
-4.0257 -2.5217 1.9970
4.8820 1.9469 5.2880

! Hf2CoRe | the Materials Project | r²SCAN | relaxed; values from VASP
! Formation enthalpy at 0 K = -446 meV/atom
! Total energy = -39.43 eV per atom
! V = 66.41 Å³/cell
&SYSTEM
  ibrav = 0, nat = 4, ntyp = 3
/
ATOMIC_SPECIES
Hf 178.49 Hf.upf
Co 58.93 Co.upf
Re 186.21 Re.upf
ATOMIC_POSITIONS crystal
Hf 0.0000 0.0000 0.0000
Hf 0.5000 0.5000 0.5000
Co 0.2500 0.2500 0.2500
Re 0.7500 0.7500 0.7500
CELL_PARAMETERS angstrom
0.0004 3.2143 3.2143
3.2143 0.0004 3.2143
3.2143 3.2143 0.0004

! Hf2CoTc | the Materials Project | r²SCAN | relaxed; values from VASP
! Formation enthalpy at 0 K = -507 meV/atom
! Total energy = -32.88 eV per atom
! V = 65.49 Å³/cell
&SYSTEM
  ibrav = 0, nat = 4, ntyp = 3
/
ATOMIC_SPECIES
Hf 178.49 Hf.upf
Co 58.93 Co.upf
Tc 98.00 Tc.upf
ATOMIC_POSITIONS crystal
Hf 0.0000 0.0000 0.0000
Hf 0.5000 0.5000 0.5000
Co 0.2500 0.2500 0.2500
Tc 0.7500 0.7500 0.7500
CELL_PARAMETERS angstrom
0.0000 3.1992 3.1992
3.1992 0.0000 3.1992
3.1992 3.1992 0.0000

! HfZnCo2 | the Materials Project | r²SCAN | relaxed; values from VASP
! Formation enthalpy at 0 K = -247 meV/atom
! Total energy = -20.38 eV per atom
! V = 52.30 Å³/cell
&SYSTEM
  ibrav = 0, nat = 4, ntyp = 3
/
ATOMIC_SPECIES
Hf 178.49 Hf.upf
Zn 65.41 Zn.upf
Co 58.93 Co.upf
ATOMIC_POSITIONS crystal
Hf 0.2500 0.2500 0.2500
Zn 0.7500 0.7500 0.7500
Co 0.0000 0.0000 0.0000
Co 0.5000 0.5000 0.5000
CELL_PARAMETERS angstrom
0.0000 2.9683 2.9683
2.9683 0.0000 2.9683
2.9683 2.9683 0.0000

! HfZrCo2 | the Materials Project | r²SCAN | relaxed; values from VASP
! Formation enthalpy at 0 K = -383 meV/atom
! Total energy = -23.98 eV per atom
! V = 64.69 Å³/cell
&SYSTEM
  ibrav = 0, nat = 4, ntyp = 3
/
ATOMIC_SPECIES
Hf 178.49 Hf.upf
Zr 91.22 Zr.upf
Co 58.93 Co.upf
ATOMIC_POSITIONS crystal
Hf 0.5000 0.5000 0.5000
Zr 0.0000 0.0000 0.0000
Co 0.7500 0.7500 0.7500
Co 0.2500 0.2500 0.2500
CELL_PARAMETERS angstrom
0.0000 3.1862 3.1862
3.1862 0.0000 3.1862
3.1862 3.1862 0.0000